## Na3AlZnSiS2O12 (PBE)

Data for a relaxed structure of Na3AlZnSiS2O12.

The structure in POSCAR format:
```
Na3AlZnSiS2O12
1.0
7.731 -4.419 0.000
7.731 4.419 0.000
-0.079 0.000 21.777
Na Al Zn Si S O
18 6 6 6 12 72
Direct
0.132 0.497 0.013
0.132 0.868 0.500
0.148 0.161 0.422
0.156 0.787 0.172
0.161 0.148 0.922
0.190 0.831 0.844
0.195 0.480 0.329
0.479 0.507 0.255
0.480 0.195 0.829
0.497 0.132 0.513
0.507 0.479 0.755
0.526 0.813 0.667
0.787 0.156 0.672
0.813 0.526 0.167
0.824 0.828 0.088
0.828 0.824 0.588
0.831 0.190 0.344
0.868 0.132 0.000
0.149 0.182 0.770
0.182 0.149 0.270
0.472 0.491 0.104
0.491 0.472 0.604
0.836 0.849 0.435
0.849 0.836 0.935
0.149 0.170 0.570
0.170 0.149 0.070
0.500 0.503 0.903
0.503 0.500 0.403
0.813 0.855 0.737
0.855 0.813 0.237
0.135 0.834 0.334
0.171 0.441 0.169
0.202 0.789 0.001
0.441 0.171 0.669
0.789 0.202 0.501
0.834 0.135 0.834
0.108 0.536 0.835
0.173 0.856 0.668
0.197 0.504 0.501
0.458 0.864 0.169
0.504 0.197 0.001
0.509 0.782 0.504
0.536 0.108 0.335
0.542 0.832 0.836
0.782 0.509 0.004
0.832 0.542 0.336
0.856 0.173 0.168
0.864 0.458 0.669
0.001 0.367 0.337
0.005 0.801 0.997
0.009 0.618 0.893
0.020 0.643 0.781
0.021 0.135 0.826
0.021 0.667 0.497
0.027 0.824 0.676
0.062 0.793 0.272
0.127 0.358 0.832
0.135 0.021 0.326
0.135 0.963 0.612
0.137 0.360 0.107
0.164 0.988 0.008
0.180 0.350 0.508
0.186 0.324 0.231
0.197 0.944 0.723
0.285 0.536 0.555
0.286 0.512 0.838
0.297 0.478 0.444
0.299 0.657 0.060
0.303 0.707 0.937
0.324 0.186 0.731
0.324 0.657 0.344
0.338 0.952 0.223
0.344 0.686 0.661
0.345 0.465 0.164
0.350 0.180 0.008
0.356 0.963 0.507
0.358 0.127 0.332
0.360 0.137 0.607
0.367 0.001 0.837
0.385 0.958 0.112
0.465 0.345 0.664
0.474 0.706 0.450
0.475 0.685 0.167
0.478 0.297 0.944
0.509 0.687 0.840
0.512 0.286 0.338
0.522 0.681 0.561
0.536 0.285 0.055
0.618 0.009 0.393
0.631 0.811 0.777
0.632 0.841 0.178
0.641 0.997 0.670
0.643 0.020 0.281
0.643 0.847 0.889
0.657 0.299 0.560
0.657 0.324 0.844
0.667 0.021 0.997
0.671 0.792 0.498
0.681 0.522 0.061
0.685 0.475 0.667
0.686 0.344 0.161
0.687 0.509 0.340
0.706 0.474 0.950
0.707 0.303 0.437
0.792 0.671 0.998
0.793 0.062 0.772
0.801 0.005 0.497
0.811 0.631 0.277
0.824 0.027 0.176
0.841 0.632 0.678
0.847 0.643 0.389
0.871 0.998 0.892
0.944 0.197 0.223
0.952 0.338 0.723
0.958 0.385 0.612
0.963 0.135 0.112
0.963 0.356 0.007
0.988 0.164 0.508
0.997 0.641 0.170
0.998 0.871 0.392
```

Output
raw total energy = -721.969 eV/cell
energy of formation from the pure elements = -2.33 eV/atom


## Na3ZrAlSi2SO12 (PBE)

Data for a relaxed structure of Na3ZrAlSi2SO12.

The structure in POSCAR format:
```
Na3ZrAlSi2SO12
1.0
-3.323 -4.424 7.104
-0.972 -3.348 -8.302
19.200 -11.035 2.757
Na O S Zr Si Al
18 72 6 6 12 6
Direct
0.308 0.662 0.661
0.959 0.667 0.909
0.670 0.981 0.579
0.000 0.375 0.742
0.003 0.648 0.245
0.686 0.664 0.412
0.019 0.330 0.079
0.336 0.314 0.912
0.292 0.333 0.576
0.333 0.041 0.409
0.642 0.328 0.328
0.625 0.000 0.242
0.975 0.995 0.994
0.352 0.997 0.745
0.338 0.692 0.161
0.672 0.358 0.828
0.005 0.025 0.494
0.667 0.708 0.076
0.838 0.799 0.309
0.201 0.162 0.809
0.702 0.163 0.750
0.791 0.821 0.192
0.311 0.843 0.970
0.501 0.359 0.422
0.175 0.979 0.196
0.157 0.689 0.470
0.823 0.023 0.803
0.154 0.630 0.074
0.508 0.646 0.863
0.781 0.976 0.695
0.201 0.191 0.091
0.531 0.694 0.981
0.857 0.348 0.920
0.534 0.858 0.757
0.972 0.802 0.814
0.974 0.165 0.589
0.977 0.177 0.303
0.864 0.361 0.647
0.306 0.469 0.481
0.821 0.963 0.408
0.644 0.510 0.636
0.358 0.886 0.861
0.986 0.810 0.087
0.035 0.830 0.417
0.198 0.028 0.314
0.868 0.524 0.424
0.842 0.312 0.529
0.159 0.509 0.578
0.168 0.693 0.756
0.835 0.026 0.089
0.846 0.542 0.026
0.652 0.143 0.420
0.037 0.179 0.908
0.512 0.876 0.359
0.024 0.219 0.195
0.641 0.499 0.922
0.021 0.825 0.696
0.368 0.497 0.084
0.703 0.513 0.241
0.458 0.154 0.526
0.688 0.158 0.029
0.505 0.132 0.643
0.172 0.466 0.976
0.158 0.174 0.411
0.354 0.492 0.363
0.503 0.632 0.584
0.487 0.297 0.741
0.124 0.488 0.859
0.824 0.508 0.745
0.492 0.176 0.245
0.142 0.466 0.257
0.523 0.681 0.254
0.809 0.799 0.591
0.691 0.553 0.528
0.190 0.014 0.587
0.826 0.842 0.911
0.639 0.136 0.147
0.307 0.832 0.256
0.319 0.477 0.754
0.179 0.209 0.692
0.114 0.642 0.361
0.491 0.841 0.078
0.837 0.298 0.250
0.170 0.965 0.917
0.476 0.132 0.924
0.370 0.846 0.574
0.447 0.309 0.028
0.534 0.828 0.476
0.868 0.495 0.143
0.490 0.356 0.136
0.379 0.337 0.085
0.663 0.621 0.585
0.996 0.287 0.252
0.046 0.671 0.419
0.329 0.954 0.919
0.713 0.004 0.752
0.665 0.318 0.480
0.348 0.668 0.313
0.015 0.001 0.647
0.682 0.335 0.980
0.999 0.985 0.147
0.332 0.652 0.813
0.964 0.346 0.587
0.297 0.013 0.254
0.302 0.286 0.752
0.968 0.619 0.085
0.714 0.698 0.252
0.654 0.036 0.087
0.048 0.365 0.918
0.381 0.032 0.585
0.635 0.952 0.418
0.631 0.679 0.921
0.321 0.369 0.421
0.987 0.703 0.754
0.658 0.329 0.185
0.991 0.996 0.852
0.337 0.675 0.019
0.325 0.663 0.519
0.004 0.009 0.352
0.671 0.342 0.685
```

Output
raw total energy = -832.575 eV/cell
energy of formation from the pure elements = -2.82 eV/atom


## Na3Zr3AlSi3S3O24 (PBE)

Data for a relaxed structure of Na3Zr3AlSi3S3O24.

The structure in POSCAR format:
```
Na3Zr3AlSi3S3O24
1.0
8.919 0.000 0.000
-4.431 7.767 0.000
-0.005 -0.016 23.088
Na Zr Al Si S O
9 9 3 9 9 72
Direct
0.000 0.000 0.000
0.001 0.648 0.251
0.019 0.377 0.761
0.028 0.024 0.509
0.339 0.317 0.586
0.369 0.673 0.839
0.370 0.664 0.337
0.669 0.337 0.677
0.692 0.358 0.174
0.000 0.011 0.154
0.016 0.029 0.858
0.020 0.036 0.357
0.328 0.675 0.975
0.335 0.667 0.485
0.341 0.671 0.192
0.344 0.684 0.689
0.673 0.338 0.525
0.706 0.375 0.022
0.057 0.047 0.652
0.662 0.364 0.824
0.678 0.367 0.315
0.048 0.378 0.591
0.059 0.696 0.089
0.327 0.310 0.753
0.335 0.970 0.587
0.404 0.357 0.416
0.684 0.645 0.917
0.720 0.720 0.258
0.955 0.354 0.910
0.994 0.310 0.256
0.008 0.731 0.750
0.318 0.030 0.254
0.346 0.389 0.085
0.403 0.072 0.918
0.634 0.974 0.086
0.651 0.698 0.587
0.677 0.064 0.417
0.733 0.021 0.750
0.968 0.637 0.417
0.027 0.828 0.804
0.034 0.192 0.600
0.040 0.869 0.091
0.044 0.229 0.311
0.142 0.499 0.648
0.143 0.654 0.421
0.148 0.530 0.916
0.151 0.679 0.148
0.162 0.509 0.249
0.166 0.992 0.596
0.168 0.711 0.748
0.175 0.704 0.033
0.184 0.469 0.535
0.187 0.222 0.092
0.188 0.215 0.805
0.204 0.994 0.305
0.212 0.182 0.414
0.226 0.047 0.912
0.236 0.055 0.202
0.238 0.202 0.693
0.321 0.855 0.530
0.332 0.477 0.034
0.332 0.871 0.248
0.339 0.502 0.748
0.372 0.496 0.138
0.376 0.885 0.643
0.383 0.531 0.421
0.389 0.899 0.921
0.476 0.168 0.972
0.487 0.343 0.478
0.489 0.179 0.262
0.497 0.363 0.082
0.498 0.172 0.582
0.507 0.158 0.867
0.513 0.321 0.765
0.515 0.672 0.926
0.521 0.892 0.422
0.523 0.365 0.362
0.532 0.705 0.249
0.533 0.658 0.638
0.537 0.886 0.139
0.554 0.873 0.033
0.557 0.868 0.746
0.569 0.721 0.535
0.645 0.146 0.083
0.648 0.525 0.861
0.664 0.537 0.581
0.668 0.153 0.365
0.699 0.164 0.471
0.702 0.531 0.262
0.704 0.556 0.977
0.721 0.180 0.753
0.806 0.995 0.804
0.813 0.000 0.090
0.820 0.847 0.597
0.823 0.842 0.313
0.828 0.333 0.268
0.834 0.043 0.416
0.845 0.037 0.700
0.848 0.807 0.201
0.852 0.329 0.971
0.854 0.363 0.853
0.859 0.554 0.753
0.860 0.831 0.912
0.865 0.370 0.581
0.867 0.550 0.469
0.868 0.519 0.086
0.888 0.539 0.363
0.976 0.196 0.198
0.989 0.812 0.415
0.990 0.191 0.910
0.996 0.822 0.699
```

Output
raw total energy = -805.997 eV/cell
energy of formation from the pure elements = -2.82 eV/atom